Computed, not measured: a geometry-optimized Na6Al4Si3S3O24 structure at the PBE level of DFT. Values from VASP.

```
&SYSTEM
  ibrav = 0, nat = 120, ntyp = 5
/
ATOMIC_SPECIES
O 16.00 O.upf
S 32.06 S.upf
Na 22.99 Na.upf
Al 26.98 Al.upf
Si 28.09 Si.upf
ATOMIC_POSITIONS angstrom
O -15.037 9.806 -6.220
O -3.193 -0.175 4.266
O -17.226 13.339 3.491
O -9.672 6.456 -2.602
O -13.740 4.907 0.195
O -7.562 0.104 -3.237
O -18.292 10.469 0.071
O -5.632 0.861 6.624
O -11.561 4.695 -4.019
O -10.694 2.585 -2.185
O -6.883 1.579 4.356
O -6.604 -2.012 -1.723
O -13.497 14.492 -0.004
O -7.050 5.725 -0.102
O -17.535 8.046 -0.926
O -4.806 -1.945 -5.606
O -5.852 1.780 -2.019
O -7.983 -1.321 1.178
O -12.869 5.474 -6.117
O -9.055 5.701 1.110
O -7.705 3.671 1.097
O -15.923 10.976 0.493
O -11.953 9.822 5.711
O -9.556 0.444 0.553
O -13.727 9.035 -4.094
O -15.959 11.246 3.508
O -9.135 2.474 3.249
O -17.011 11.763 -1.514
O -13.176 10.383 0.724
O -3.579 -2.708 -3.415
O -11.526 4.983 -1.187
O -3.372 2.558 1.227
O -8.825 4.312 -0.939
O -9.015 4.050 -3.602
O -17.688 12.646 0.701
O -15.599 12.876 -3.465
O -3.777 -0.965 1.533
O -9.298 8.699 -1.916
O -7.169 4.415 3.893
O -16.125 12.711 5.502
O -4.851 -0.392 -3.336
O -11.765 6.664 3.901
O -3.151 -1.993 -0.645
O -11.421 8.126 -3.071
O -8.678 0.910 -5.424
O -4.832 -0.226 -0.476
O -7.439 0.904 1.706
O -17.483 11.035 -4.026
O -7.493 0.284 -0.619
O -11.497 1.842 1.958
O -5.234 4.256 -1.408
O -14.105 12.628 2.008
O -5.090 -3.876 -1.265
O -14.911 9.136 2.198
O -13.671 6.317 -3.678
O -12.817 12.060 -0.992
O -13.094 10.594 3.443
O -15.325 6.634 1.637
O -15.798 14.624 1.387
O -11.127 10.362 -0.462
O -15.272 8.086 -2.245
O -5.648 2.733 2.428
O -7.904 5.276 6.072
O -10.921 4.401 2.691
O -8.992 6.022 4.088
O -10.023 7.858 2.395
O -11.847 6.429 1.159
O -7.095 -3.749 -0.011
O -13.021 7.209 -1.071
O -13.258 9.841 -1.633
O -2.434 0.208 -0.085
O -4.991 -2.018 3.546
S -7.692 5.603 4.635
S -12.557 10.641 -0.633
S -6.510 -3.424 -1.329
S -17.187 11.467 -0.061
S -9.982 7.887 -2.929
S -3.568 -0.766 0.063
S -8.143 0.067 0.692
S -16.792 12.169 4.317
S -8.199 4.813 0.297
Na -10.596 2.526 -4.588
Na -15.238 10.338 -2.891
Na -13.528 2.710 0.891
Na -12.431 8.481 2.308
Na -14.687 8.460 -0.028
Na -7.355 5.325 -2.584
Na -2.068 0.733 2.369
Na -13.361 5.285 2.614
Na -5.359 0.412 3.045
Na -4.908 -1.194 5.732
Na -18.378 9.746 -2.288
Na -15.969 11.927 -5.676
Na -10.163 8.470 4.645
Na -6.280 1.659 -4.513
Na -18.324 12.253 -7.955
Na -5.906 2.169 0.227
Na -8.339 2.195 -2.178
Na -15.545 7.602 -4.644
Al -3.224 -2.126 3.114
Al -10.485 4.725 -2.589
Al -17.567 12.729 -3.272
Al -10.505 6.112 2.290
Al -7.365 2.763 3.043
Al -6.232 -1.524 -6.751
Al -15.518 5.103 0.671
Al -6.143 -0.038 -2.132
Al -9.014 1.699 -7.017
Al -16.142 9.689 -7.608
Al -13.439 7.831 -2.705
Al -14.405 10.861 2.255
Si -4.303 3.601 2.093
Si -13.077 5.071 -4.557
Si -3.967 -1.374 -4.303
Si -13.526 9.412 -5.662
Si -12.439 11.108 4.858
Si -10.735 2.827 3.047
Si -12.491 5.905 -0.255
Si -14.221 14.155 1.444
Si -7.040 1.406 5.975
CELL_PARAMETERS angstrom
-4.064 -4.039 -6.645
-2.377 -1.541 8.180
-14.276 16.307 -1.405
```

SG = No. 1
crystal system = triclinic
energy of formation = -2633.5 meV per atom

***

Computed, not measured: a geometry-optimized Na6Al4Si5Sn4S7O48 structure at the PBE level of DFT. Values from VASP.

```
&SYSTEM
  ibrav = 0, nat = 222, ntyp = 6
/
ATOMIC_SPECIES
O 16.00 O.upf
Al 26.98 Al.upf
Sn 118.71 Sn.upf
S 32.06 S.upf
Na 22.99 Na.upf
Si 28.09 Si.upf
ATOMIC_POSITIONS angstrom
O 9.354 6.456 8.070
O 7.629 3.699 13.051
O 0.641 3.341 10.518
O 16.412 1.195 13.201
O -1.659 4.764 1.855
O 7.937 3.797 5.809
O 1.000 3.685 8.121
O 1.790 5.334 21.748
O 11.384 7.153 15.531
O -1.038 6.338 5.798
O 2.721 2.623 9.396
O 9.698 1.177 18.193
O 0.762 3.625 17.102
O 12.088 6.159 20.497
O 10.562 0.260 6.837
O 5.950 2.350 11.892
O 8.044 6.534 19.384
O 12.342 6.026 13.152
O -1.029 3.613 19.359
O 12.356 4.127 11.845
O 3.653 6.205 13.211
O 3.761 4.058 11.750
O 3.378 6.265 20.257
O 10.311 5.197 5.819
O 8.210 3.365 21.837
O 10.261 0.146 13.174
O -1.129 6.327 21.973
O 12.518 1.060 14.397
O 8.101 1.305 20.346
O 10.481 5.194 21.831
O 5.977 2.644 14.368
O 10.396 4.715 19.418
O 3.740 1.080 20.568
O -1.616 5.428 10.546
O 9.577 3.742 1.845
O 3.222 6.238 4.302
O 3.863 5.919 6.908
O 2.838 2.703 3.210
O 0.633 1.446 9.068
O -1.003 3.675 13.009
O 10.301 4.726 13.044
O 5.320 3.862 3.125
O 12.206 1.220 5.432
O 1.630 0.216 6.842
O 3.347 3.870 20.570
O 13.727 3.939 0.697
O 11.474 7.290 9.021
O 14.018 3.787 3.177
O 6.967 4.832 8.098
O 2.695 7.332 9.245
O -0.676 1.637 4.462
O 7.035 5.165 17.074
O 6.174 7.192 4.448
O -3.461 6.388 9.037
O 5.014 3.892 16.765
O 9.631 3.735 8.054
O 3.342 1.176 5.478
O 8.174 6.348 13.015
O 7.068 0.113 1.956
O 14.591 2.693 20.715
O 9.059 1.544 15.606
O 13.786 0.917 9.321
O 11.979 6.106 4.400
O 14.786 2.226 11.847
O 2.525 7.243 15.626
O 7.017 4.806 1.812
O 12.434 5.998 6.796
O 1.579 4.848 19.327
O 9.672 1.030 1.913
O 0.545 6.545 1.845
O 5.065 0.994 3.110
O 0.918 6.306 17.065
O 7.753 3.763 19.212
O 12.115 3.852 14.301
O 5.381 6.051 15.664
O 9.523 6.138 17.167
O 9.867 6.379 10.488
O -1.555 4.859 7.913
O 4.996 4.082 0.667
O 12.116 3.724 20.734
O -0.754 1.458 20.476
O -1.414 4.991 17.032
O 8.200 1.718 4.309
O 5.739 2.406 5.303
O 1.037 6.431 10.568
O 9.289 1.272 9.257
O 15.905 0.029 1.908
O 4.921 6.007 2.013
O 14.033 3.609 9.404
O 0.976 1.204 1.996
O 7.468 1.343 6.909
O 6.931 5.208 10.541
O 0.599 6.586 8.159
O 5.243 6.143 9.220
O 3.683 3.872 5.482
O 11.425 2.303 0.460
O -2.744 7.211 4.457
O -0.717 3.369 21.808
O 1.444 4.709 12.964
O 11.443 2.678 3.187
O 14.673 2.290 5.572
O 13.732 3.711 16.498
O 5.330 3.698 9.460
O 13.672 5.909 2.009
O -0.679 6.433 13.085
O 7.606 1.268 13.153
O 13.650 5.721 18.133
O 16.431 1.226 6.855
O 13.993 1.210 16.710
O 9.216 3.589 17.032
O -3.084 6.263 15.537
O 11.547 2.652 9.345
O 3.391 3.833 14.438
O -0.646 6.429 19.315
O 15.826 0.338 18.141
O 5.924 7.308 20.403
O 0.902 3.885 1.789
O 12.442 3.994 5.536
O 5.413 1.080 0.661
O 1.358 5.205 5.917
O 9.131 6.408 1.743
O 2.831 2.380 16.672
O 12.068 1.084 11.692
O 5.817 2.758 20.662
O 14.742 2.613 14.315
O -0.669 3.534 5.843
O 4.907 5.932 18.074
O 3.730 1.044 14.409
O 9.277 3.405 10.710
O 5.341 1.188 16.754
O 11.527 2.288 16.707
O 2.688 2.326 0.509
O 1.406 0.298 13.145
O -2.964 7.392 20.493
O 0.640 1.755 15.681
O 7.867 6.366 5.863
O 4.986 1.017 9.459
O 13.768 0.950 3.226
O 7.054 0.166 18.041
O 14.081 1.218 0.527
O 12.375 1.001 20.688
O 7.608 6.396 21.802
O 1.185 1.436 18.071
O 3.379 1.162 11.677
Al 8.715 4.810 7.070
Al -0.127 5.178 18.254
Al 8.683 0.081 19.114
Al 8.743 4.891 18.193
Al 12.933 2.275 3.922
Al 4.152 2.507 15.228
Al 0.061 5.000 7.137
Al 4.250 2.649 4.269
Al 13.023 2.298 22.149
Al 12.960 2.245 15.664
Al 13.032 7.409 7.937
Al 4.279 2.565 11.084
Sn 8.687 4.995 11.679
Sn 8.675 0.074 3.360
Sn 8.732 4.924 0.489
Sn 13.090 7.358 19.047
Sn 12.982 2.488 10.712
Sn -4.309 7.469 14.608
Sn 17.361 0.005 3.198
Sn -0.001 5.014 0.406
Sn 8.640 0.063 7.834
Sn -0.077 5.092 11.771
Sn 4.311 2.408 21.905
Sn 4.412 7.506 14.491
S 2.507 -0.007 5.656
S 5.565 5.284 16.927
S 1.362 2.298 16.877
S 5.590 0.331 1.927
S 6.770 2.482 13.124
S 11.797 4.631 13.140
S -1.353 2.808 20.557
S 1.225 7.235 9.344
S 15.541 2.400 13.127
S 1.772 7.502 16.872
S 5.547 4.664 1.910
S 9.998 7.130 9.207
S 11.401 -0.011 5.639
S 7.416 7.161 20.536
S 14.278 4.547 1.908
S 2.503 5.085 20.442
S 16.141 2.115 5.708
S 11.257 4.938 20.591
S 11.767 5.312 5.649
S 6.115 4.951 9.318
S 1.243 2.811 9.285
Na 7.159 2.701 16.885
Na 0.228 5.006 3.769
Na 8.825 4.903 3.690
Na -0.028 5.187 14.968
Na 15.776 2.626 16.843
Na 13.053 7.435 11.286
Na 13.036 2.449 18.531
Na 8.687 0.024 22.413
Na 2.757 0.195 9.561
Na -2.755 4.763 5.699
Na 10.249 2.208 20.592
Na 4.416 2.562 7.392
Na 0.035 0.072 22.438
Na 4.319 2.414 18.747
Na 8.824 5.121 15.104
Na 5.851 4.780 5.637
Na 4.438 7.511 11.289
Na 12.946 2.446 7.553
Si 3.085 4.667 13.097
Si 2.960 5.321 5.645
Si 14.274 0.297 1.832
Si 11.887 0.327 13.136
Si 9.952 2.134 16.894
Si 3.064 0.378 13.103
Si -3.038 5.221 16.795
Si -2.511 5.037 9.225
Si 7.444 2.817 20.481
Si 10.456 7.413 16.879
Si 9.921 2.796 9.323
Si -1.335 7.160 20.555
Si 7.341 2.271 5.575
Si 1.913 2.555 1.914
Si 10.562 2.438 1.844
CELL_PARAMETERS angstrom
17.422 -0.069 -0.005
-4.386 7.559 -0.004
-0.006 -0.014 22.460
```

SG = No. 1
crystal system = triclinic
energy of formation = -2392.3 meV per atom

***

Record order is preserved below.
Raw total energy: -777.62; -1429.79 eV/cell